Eu3Sc2Fe3O12: optimized geometry, GGA+U.

Unit cell a=12.8205 b=12.8205 c=12.8205 alpha=90.00 beta=90.00 gamma=90.00
Space group Ia-3d (No. 230)
One atom of each set of equivalent atoms:
Eu (0.0000, 0.2500, 0.1250)
Sc (0.0000, 0.0000, 0.0000)
Fe (0.0000, 0.2500, 0.3750)
O (0.0297, 0.0576, 0.6532)

Output
- Density: 5.7 g/cm³
- Final energy: -1357.582 eV per cell
- Calculated formation energy: -2.8244 eV per atom
- Magnetization: 1.650 μB per atom
- E (MP2020): -9.2355 eV/atom